CaCe2Te4 | PBE | relaxed

Properties
**E_form**: -1.69 eV/atom
**ρ**: 6.3 g/cm3

Cell lengths 8.3022, 8.3022, 8.3022 Å; angles 109.78, 109.78, 108.86 degrees
Closest atoms and distances in Å follow each position.
Sites, in units of the cell vectors:
Ca (0.7500, 0.2500, 0.5000)  8 Te 3.20-3.45
Ca (0.0000, 0.0000, 0.0000)  8 Te 3.20-3.45
Ce (0.8750, 0.4983, 0.1233)  8 Te 3.22-3.42
Ce (0.2483, 0.1250, 0.6233)  8 Te 3.22-3.42
Ce (0.3750, 0.7517, 0.8767)  8 Te 3.22-3.42
Ce (0.5017, 0.6250, 0.3767)  8 Te 3.22-3.42
Te (0.6245, 0.0220, 0.7521)  2 Ca 3.20-3.45, 4 Ce 3.22-3.42
Te (0.6223, 0.5199, 0.7479)  2 Ca 3.20-3.45, 4 Ce 3.22-3.42
Te (0.4801, 0.2280, 0.1025)  2 Ca 3.20-3.45, 4 Ce 3.22-3.42
Te (0.1277, 0.3755, 0.3975)  2 Ca 3.20-3.45, 4 Ce 3.22-3.42
Te (0.7720, 0.8745, 0.2521)  2 Ca 3.20-3.45, 4 Ce 3.22-3.42
Te (0.1255, 0.3777, 0.8975)  2 Ca 3.20-3.45, 4 Ce 3.22-3.42
Te (0.9780, 0.7301, 0.6025)  2 Ca 3.20-3.45, 4 Ce 3.22-3.42
Te (0.2699, 0.8723, 0.2479)  2 Ca 3.20-3.45, 4 Ce 3.22-3.42



Cs3Ca2Cl7 | PBE | relaxed

Properties
**E_form**: -2.58 eV/atom
**ρ**: 2.9 g/cm3

Cell lengths 14.7130, 14.7130, 14.7130 Å; angles 158.65, 158.65, 30.38 degrees
Closest atoms and distances in Å follow each position.
Sites, in units of the cell vectors:
Cs (0.3162, 0.3162, 0.0000)  9 Cl 3.51-3.86
Cs (0.6838, 0.6838, 0.0000)  9 Cl 3.51-3.86
Cs (0.5000, 0.5000, 0.0000)  12 Cl 3.85-3.86
Ca (0.0970, 0.0970, 0.0000)  6 Cl 2.71-2.75
Ca (0.9030, 0.9030, 0.0000)  6 Cl 2.71-2.75
Cl (0.5958, 0.0958, 0.5000)  2 Ca 2.73
Cl (0.4042, 0.9042, 0.5000)  2 Ca 2.73
Cl (0.0958, 0.5958, 0.5000)  2 Ca 2.73
Cl (0.9042, 0.4042, 0.5000)  2 Ca 2.73
Cl (0.1924, 0.1924, 0.0000)  1 Ca 2.71
Cl (0.8076, 0.8076, 0.0000)  1 Ca 2.71
Cl (0.0000, 0.0000, 0.0000)  2 Ca 2.75



Cs2CaCl4 | PBE | relaxed

Properties
**E_form**: -2.54 eV/atom
**ρ**: 2.9 g/cm3

Cell lengths 9.5599, 9.5599, 9.5599 Å; angles 146.97, 146.97, 47.41 degrees
Closest atoms and distances in Å follow each position.
Sites, in units of the cell vectors:
Cs (0.3558, 0.3558, 0.0000)  9 Cl 3.49-3.85
Cs (0.6442, 0.6442, 0.0000)  9 Cl 3.49-3.85
Ca (0.0000, 0.0000, 0.0000)  6 Cl 2.72-2.74
Cl (0.1565, 0.1565, 0.0000)  1 Ca 2.74
Cl (0.8435, 0.8435, 0.0000)  1 Ca 2.74
Cl (0.5000, 0.0000, 0.5000)  2 Ca 2.72
Cl (0.0000, 0.5000, 0.5000)  2 Ca 2.72



CsCaCl3 | PBE | relaxed

Properties
**E_form**: -2.64 eV/atom
**ρ**: 2.8 g/cm3

Cell lengths 5.4686, 5.4686, 5.4686 Å; angles 90.00, 90.00, 90.00 degrees
Closest atoms and distances in Å follow each position.
Sites, in units of the cell vectors:
Cs (0.0000, 0.0000, 0.0000)  12 Cl 3.87
Ca (0.5000, 0.5000, 0.5000)  6 Cl 2.73
Cl (0.0000, 0.5000, 0.5000)  2 Ca 2.73
Cl (0.5000, 0.0000, 0.5000)  2 Ca 2.73
Cl (0.5000, 0.5000, 0.0000)  2 Ca 2.73



CsCaCl3 | PBE | relaxed

Properties
**E_form**: -2.64 eV/atom
**ρ**: 2.8 g/cm3

Cell lengths 5.4619, 5.4620, 5.4645 Å; angles 89.97, 90.03, 89.98 degrees
Closest atoms and distances in Å follow each position.
Sites, in units of the cell vectors:
Cs (0.0007, 0.0069, 0.0024)  12 Cl 3.81-3.91
Ca (0.4995, 0.5120, 0.5005)  6 Cl 2.73
Cl (0.9996, 0.5155, 0.5067)  2 Ca 2.73
Cl (0.4977, 0.0125, 0.4993)  2 Ca 2.73
Cl (0.5026, 0.5131, 0.0010)  2 Ca 2.73



CsCaCl3 | PBE | relaxed

Properties
**E_form**: -2.64 eV/atom
**ρ**: 2.8 g/cm3

Cell lengths 7.7396, 7.7396, 7.7396 Å; angles 120.36, 120.36, 89.37 degrees
Closest atoms and distances in Å follow each position.
Sites, in units of the cell vectors:
Cs (0.7500, 0.2500, 0.5000)  8 Cl 3.63-3.85
Cs (0.2500, 0.7500, 0.5000)  8 Cl 3.63-3.85
Ca (0.0000, 0.0000, 0.0000)  6 Cl 2.74-2.75
Ca (0.5000, 0.5000, 0.0000)  6 Cl 2.74-2.75
Cl (0.7173, 0.2173, 0.9346)  2 Ca 2.74
Cl (0.2827, 0.7827, 0.0654)  2 Ca 2.74
Cl (0.2173, 0.2827, 0.5000)  2 Ca 2.74
Cl (0.7827, 0.7173, 0.5000)  2 Ca 2.74
Cl (0.2500, 0.2500, 0.0000)  2 Ca 2.75
Cl (0.7500, 0.7500, 0.0000)  2 Ca 2.75



CsCaTa6Cl18 | PBE | relaxed

Properties
**E_form**: -1.90 eV/atom
**ρ**: 4.7 g/cm3

Cell lengths 9.4296, 9.4296, 17.5814 Å; angles 90.00, 90.00, 120.00 degrees
Closest atoms and distances in Å follow each position.
Sites, in units of the cell vectors:
Cs (0.3333, 0.6667, 0.7500)  12 Cl 3.86-3.97
Cs (0.6667, 0.3333, 0.2500)  12 Cl 3.86-3.97
Ca (0.6667, 0.3333, 0.7500)  6 Cl 2.82
Ca (0.3333, 0.6667, 0.2500)  6 Cl 2.82
Ta (0.8420, 0.0379, 0.5683)  5 Cl 2.45-2.62
Ta (0.1580, 0.9621, 0.4317)  5 Cl 2.45-2.62
Ta (0.9621, 0.8041, 0.5683)  5 Cl 2.45-2.62
Ta (0.8420, 0.8041, 0.9317)  5 Cl 2.45-2.62
Ta (0.0379, 0.1959, 0.4317)  5 Cl 2.45-2.62
Ta (0.1580, 0.1959, 0.0683)  5 Cl 2.45-2.62
Ta (0.1959, 0.1580, 0.5683)  5 Cl 2.45-2.62
Ta (0.9621, 0.1580, 0.9317)  5 Cl 2.45-2.62
Ta (0.8041, 0.8420, 0.4317)  5 Cl 2.45-2.62
Ta (0.0379, 0.8420, 0.0683)  5 Cl 2.45-2.62
Ta (0.1959, 0.0379, 0.9317)  5 Cl 2.45-2.62
Ta (0.8041, 0.9621, 0.0683)  5 Cl 2.45-2.62
Cl (0.6411, 0.0782, 0.6567)  1 Ta 2.62, 1 Ca 2.82
Cl (0.3589, 0.9218, 0.3433)  1 Ta 2.62, 1 Ca 2.82
Cl (0.9218, 0.5629, 0.6567)  1 Ta 2.62, 1 Ca 2.82
Cl (0.6411, 0.5629, 0.8433)  1 Ta 2.62, 1 Ca 2.82
Cl (0.0782, 0.4371, 0.3433)  1 Ta 2.62, 1 Ca 2.82
Cl (0.3589, 0.4371, 0.1567)  1 Ta 2.62, 1 Ca 2.82
Cl (0.4371, 0.3589, 0.6567)  1 Ta 2.62, 1 Ca 2.82
Cl (0.9218, 0.3589, 0.8433)  1 Ta 2.62, 1 Ca 2.82
Cl (0.5629, 0.6411, 0.3433)  1 Ta 2.62, 1 Ca 2.82
Cl (0.0782, 0.6411, 0.1567)  1 Ta 2.62, 1 Ca 2.82
Cl (0.4371, 0.0782, 0.8433)  1 Ta 2.62, 1 Ca 2.82
Cl (0.5629, 0.9218, 0.1567)  1 Ta 2.62, 1 Ca 2.82
Cl (0.0437, 0.2296, 0.6590)  2 Ta 2.45
Cl (0.9563, 0.7704, 0.3410)  2 Ta 2.45
Cl (0.7704, 0.8141, 0.6590)  2 Ta 2.45
Cl (0.0437, 0.8141, 0.8410)  2 Ta 2.45
Cl (0.2296, 0.1859, 0.3410)  2 Ta 2.45
Cl (0.9563, 0.1859, 0.1590)  2 Ta 2.45
Cl (0.1859, 0.9563, 0.6590)  2 Ta 2.45
Cl (0.7704, 0.9563, 0.8410)  2 Ta 2.45
Cl (0.8141, 0.0437, 0.3410)  2 Ta 2.45
Cl (0.2296, 0.0437, 0.1590)  2 Ta 2.45
Cl (0.1859, 0.2296, 0.8410)  2 Ta 2.45
Cl (0.8141, 0.7704, 0.1590)  2 Ta 2.45
Cl (0.2732, 0.4134, 0.5000)  2 Ta 2.45
Cl (0.7268, 0.5866, 0.5000)  2 Ta 2.45
Cl (0.5866, 0.8598, 0.5000)  2 Ta 2.45
Cl (0.2732, 0.8598, 0.0000)  2 Ta 2.45
Cl (0.4134, 0.1402, 0.5000)  2 Ta 2.45
Cl (0.7268, 0.1402, 0.0000)  2 Ta 2.45
Cl (0.1402, 0.7268, 0.5000)  2 Ta 2.45
Cl (0.5866, 0.7268, 0.0000)  2 Ta 2.45
Cl (0.8598, 0.2732, 0.5000)  2 Ta 2.45
Cl (0.4134, 0.2732, 0.0000)  2 Ta 2.45
Cl (0.1402, 0.4134, 0.0000)  2 Ta 2.45
Cl (0.8598, 0.5866, 0.0000)  2 Ta 2.45



Ca4Sm2Cu3Cl4O8 | PBE | relaxed

Properties
**E_form**: -2.50 eV/atom
**ρ**: 4.7 g/cm3

Cell lengths 21.6984, 21.6984, 21.6984 Å; angles 169.68, 169.68, 14.62 degrees
Closest atoms and distances in Å follow each position.
Sites, in units of the cell vectors:
Ca (0.4632, 0.4632, 0.0000)  4 O 2.52
Ca (0.5368, 0.5368, 0.0000)  4 O 2.52
Ca (0.1438, 0.1438, 0.0000)  4 O 2.47
Ca (0.8562, 0.8562, 0.0000)  4 O 2.47
Sm (0.2219, 0.2219, 0.0000)  4 O 2.30
Sm (0.7781, 0.7781, 0.0000)  4 O 2.30
Cu (0.3201, 0.3201, 0.0000)  4 O 1.95
Cu (0.6799, 0.6799, 0.0000)  4 O 1.95
Cu (0.0000, 0.0000, 0.0000)  4 O 1.95
Cl (0.3847, 0.3847, 0.0000)  1 Cu 2.78, 4 Ca 3.02
Cl (0.6153, 0.6153, 0.0000)  1 Cu 2.78, 4 Ca 3.02
Cl (0.0645, 0.0645, 0.0000)  1 Cu 2.78, 4 Ca 3.01
Cl (0.9355, 0.9355, 0.0000)  1 Cu 2.78, 4 Ca 3.01
O (0.5000, 0.0000, 0.5000)  2 Cu 1.95
O (0.0000, 0.5000, 0.5000)  2 Cu 1.95
O (0.7500, 0.2500, 0.5000)  4 Sm 2.30
O (0.2500, 0.7500, 0.5000)  4 Sm 2.30
O (0.6790, 0.1790, 0.5000)  2 Cu 1.95
O (0.3210, 0.8210, 0.5000)  2 Cu 1.95
O (0.1790, 0.6790, 0.5000)  2 Cu 1.95
O (0.8210, 0.3210, 0.5000)  2 Cu 1.95



Ca2CuS2Cl2 | PBE | relaxed

Properties
**E_form**: -1.65 eV/atom
**ρ**: 2.8 g/cm3

Cell lengths 5.5998, 5.5998, 5.3096 Å; angles 90.00, 90.00, 90.00 degrees
Closest atoms and distances in Å follow each position.
Sites, in units of the cell vectors:
Ca (0.5000, 0.0000, 0.5000)  2 Cl 2.65, 4 S 2.80
Ca (0.0000, 0.5000, 0.5000)  2 Cl 2.65, 4 S 2.80
Cu (0.5000, 0.5000, 0.0000)  2 S 2.65, 4 Cl 2.80
S (0.0000, 0.0000, 0.5000)  4 Ca 2.80
S (0.5000, 0.5000, 0.5000)  2 Cu 2.65, 4 Ca 2.80
Cl (0.5000, 0.0000, 0.0000)  2 Ca 2.65, 2 Cu 2.80
Cl (0.0000, 0.5000, 0.0000)  2 Ca 2.65, 2 Cu 2.80



Ca2Cl2F | PBE | relaxed

Properties
**E_form**: -1.79 eV/atom
**ρ**: 0.8 g/cm3

Cell lengths 5.2122, 5.2122, 12.6201 Å; angles 90.00, 90.00, 90.00 degrees
Closest atoms and distances in Å follow each position.
Sites, in units of the cell vectors:
Ca (0.5000, 0.5000, 0.1710)  1 F 2.16, 1 Cl 2.40
Ca (0.5000, 0.5000, 0.8290)  1 F 2.16, 1 Cl 2.40
Cl (0.5000, 0.5000, 0.6391)  1 Ca 2.40
Cl (0.5000, 0.5000, 0.3609)  1 Ca 2.40
F (0.5000, 0.5000, 0.0000)  2 Ca 2.16



CaClF | PBE | relaxed

Properties
**E_form**: -3.30 eV/atom
**ρ**: 3.0 g/cm3

Cell lengths 3.9145, 3.9145, 6.9257 Å; angles 90.00, 90.00, 90.00 degrees
Closest atoms and distances in Å follow each position.
Sites, in units of the cell vectors:
Ca (0.0000, 0.5000, 0.8057)  4 F 2.38
Ca (0.5000, 0.0000, 0.1943)  4 F 2.38
Cl (0.5000, 0.0000, 0.6446)  5 Ca 2.98-3.12, 4 F 3.14
Cl (0.0000, 0.5000, 0.3554)  5 Ca 2.98-3.12, 4 F 3.14
F (0.5000, 0.5000, 0.0000)  4 Ca 2.38
F (0.0000, 0.0000, 0.0000)  4 Ca 2.38



Sr3CaCl4F4 | PBE | relaxed

Properties
**E_form**: -3.36 eV/atom
**ρ**: 3.6 g/cm3

Cell lengths 4.1164, 4.1164, 14.0513 Å; angles 90.00, 90.00, 90.00 degrees
Closest atoms and distances in Å follow each position.
Sites, in units of the cell vectors:
Sr (0.5000, 0.5000, 0.8999)  4 F 2.51
Sr (0.0000, 0.0000, 0.1065)  4 F 2.53
Sr (0.0000, 0.0000, 0.5955)  4 F 2.51
Ca (0.5000, 0.5000, 0.4035)  4 F 2.41
Cl (0.5000, 0.5000, 0.1865)  1 Ca 3.05, 4 Sr 3.12, 4 F 3.31
Cl (0.5000, 0.5000, 0.6732)  5 Sr 3.11-3.19, 4 F 3.26
Cl (0.0000, 0.0000, 0.3267)  1 Sr 3.09, 4 Ca 3.10, 4 F 3.12
Cl (0.0000, 0.0000, 0.8182)  5 Sr 3.13, 4 F 3.30
F (0.5000, 0.0000, 0.0019)  4 Sr 2.51-2.53
F (0.5000, 0.0000, 0.4931)  2 Ca 2.41, 2 Sr 2.51
F (0.0000, 0.5000, 0.0019)  4 Sr 2.51-2.53
F (0.0000, 0.5000, 0.4931)  2 Ca 2.41, 2 Sr 2.51